Entry 1:
Here is MgFe4O4F4 after structural relaxation from the Materials Project. Energies are from PBE with a Hubbard U.

Cell and atoms, written as POSCAR:
```
MgFe4O4F4
1.0
5.2175 0.0000 0.0000
0.0000 3.0608 0.0000
-1.2012 0.0000 9.8976
Mg Fe O F
1 4 4 4
Cartesian
0.0000 0.0000 0.0000 Mg
1.4655 0.0000 4.9698 Fe
1.5420 0.0000 9.6749 Fe
3.6950 1.5304 7.1389 Fe
4.2615 1.5304 2.8275 Fe
-0.0087 0.0000 3.6544 O
2.9097 0.0000 6.1128 O
2.8674 1.5304 9.0228 O
3.8651 0.0000 1.5329 O
-0.0289 0.0000 8.2860 F
0.4982 1.5304 5.8965 F
1.2364 1.5304 0.6426 F
2.4411 1.5304 3.7845 F
```

Space-group type: No. 6
DFT formation energy (kJ/mol of atoms): -204

Entry 2:
Here is MgFe6O11F after structural relaxation from the Materials Project. Energies are from PBE with a Hubbard U.

Cell and atoms, written as POSCAR:
```
MgFe6O11F
1.0
4.0904 -3.1644 0.0000
4.0904 3.1644 0.0000
-0.0517 0.0000 8.7743
Mg Fe O F
1 6 11 1
Cartesian
0.0000 0.0000 0.0000 Mg
2.4411 0.0000 2.8724 Fe
2.4587 0.0000 5.6865 Fe
2.7734 0.0000 8.7584 Fe
5.8190 0.0000 7.0909 Fe
5.8921 0.0000 1.5555 Fe
7.2482 0.0000 4.3269 Fe
2.5543 1.9570 2.8637 O
0.9973 0.0000 4.3278 O
1.3828 0.0000 1.3146 O
3.6701 0.0000 4.2393 O
3.9007 0.0000 7.2031 O
4.0362 0.0000 1.4389 O
6.5464 1.2061 5.7771 O
6.5182 1.1760 8.6692 O
2.5543 -1.9570 2.8637 O
6.5182 -1.1760 8.6692 O
6.5464 -1.2061 5.7771 O
1.1147 0.0000 7.2745 F
```

Space-group type: No. 8
DFT formation energy (kJ/mol of atoms): -151

Entry 3:
Here is MgFe12O12F12 after structural relaxation from the Materials Project. Energies are from PBE with a Hubbard U.

Cell and atoms, written as POSCAR:
```
MgFe12O12F12
1.0
9.8539 0.0000 0.0000
0.0000 3.1025 0.0000
-0.5915 0.0000 14.5122
Mg Fe O F
1 12 12 12
Cartesian
0.0000 0.0000 0.0000 Mg
-0.0955 0.0000 6.9998 Fe
-0.0156 0.0000 11.5014 Fe
2.1339 1.5513 4.7370 Fe
2.0536 1.5513 9.2814 Fe
2.1709 1.5513 13.8057 Fe
4.9375 0.0000 2.3472 Fe
4.8101 0.0000 7.1849 Fe
4.6520 0.0000 11.7909 Fe
6.2830 1.5513 14.4059 Fe
7.0565 1.5513 4.5752 Fe
7.1690 1.5513 9.8730 Fe
9.5706 0.0000 3.0707 Fe
0.6729 1.5513 6.0692 O
0.8186 1.5513 10.8272 O
0.9792 0.0000 13.2603 O
1.2849 0.0000 8.4224 O
1.5444 0.0000 3.7638 O
3.5680 1.5513 12.6105 O
5.6426 1.5513 1.3708 O
5.5618 1.5513 10.8918 O
6.0566 0.0000 3.9090 O
5.8541 0.0000 13.3801 O
8.1341 0.0000 10.6262 O
8.4633 1.5513 3.3457 O
0.6892 1.5513 1.0426 F
3.3512 0.0000 0.5668 F
3.2659 0.0000 5.6836 F
3.1342 0.0000 10.2405 F
3.7838 1.5513 3.1577 F
3.7568 1.5513 8.0972 F
5.8067 1.5513 6.2690 F
6.4080 0.0000 8.6548 F
8.0722 0.0000 0.8194 F
8.0322 0.0000 5.7596 F
8.5129 1.5513 13.3467 F
8.7370 1.5513 8.0320 F
```

Space-group type: No. 6
DFT formation energy (kJ/mol of atoms): -200

Entry 4:
Here is MgFe12O12F12 after structural relaxation from the Materials Project. Energies are from PBE with a Hubbard U.

Cell and atoms, written as POSCAR:
```
MgFe12O12F12
1.0
9.5987 0.0000 0.0000
0.0000 3.0991 0.0000
-0.7422 0.0000 14.6625
Mg Fe O F
1 12 12 12
Cartesian
0.0000 0.0000 0.0000 Mg
0.6299 1.5495 3.9364 Fe
0.5363 1.5495 8.9009 Fe
0.9150 1.5495 13.2433 Fe
3.3996 0.0000 1.2551 Fe
3.2287 0.0000 6.4364 Fe
3.3987 0.0000 10.9885 Fe
5.4103 1.5495 4.3121 Fe
4.9909 1.5495 13.6379 Fe
5.4231 1.5495 8.6728 Fe
7.8548 0.0000 1.8989 Fe
7.5840 0.0000 11.5927 Fe
7.9807 0.0000 6.1464 Fe
-0.4684 0.0000 12.7263 O
1.2227 0.0000 14.6583 O
3.8971 1.5495 5.4686 O
4.3697 1.5495 0.5857 O
4.2040 1.5495 10.1775 O
4.1931 0.0000 12.7675 O
4.6120 0.0000 7.7972 O
6.4054 0.0000 4.9685 O
6.6338 1.5495 12.3669 O
8.7213 1.5495 0.8991 O
8.9261 1.5495 5.4541 O
9.3467 0.0000 3.1123 O
1.6506 0.0000 4.9050 F
1.6948 0.0000 9.6642 F
2.2333 1.5495 2.5011 F
2.0949 1.5495 7.3069 F
2.1714 1.5495 11.6920 F
4.5598 0.0000 3.1122 F
6.6556 0.0000 0.1668 F
6.7718 1.5495 2.6508 F
6.4884 0.0000 9.6614 F
7.0241 1.5495 7.3088 F
8.5961 1.5495 10.4175 F
9.1894 0.0000 7.8730 F
```

Space-group type: No. 6
DFT formation energy (kJ/mol of atoms): -197

Entry 5:
Here is MgFe12O12F12 after structural relaxation from the Materials Project. Energies are from PBE with a Hubbard U.

Cell and atoms, written as POSCAR:
```
MgFe12O12F12
1.0
9.6577 0.0000 0.0000
0.0000 3.1068 0.0000
-1.4438 0.0000 14.6076
Mg Fe O F
1 12 12 12
Cartesian
0.0000 0.0000 0.0000 Mg
0.1855 0.0000 2.9930 Fe
0.4621 0.0000 7.4580 Fe
0.1973 0.0000 12.0787 Fe
2.7666 1.5534 0.9790 Fe
2.4825 1.5534 5.0497 Fe
2.6489 1.5534 9.6645 Fe
5.2660 0.0000 2.8309 Fe
4.9980 0.0000 7.6091 Fe
5.3079 0.0000 12.1023 Fe
7.0299 1.5534 0.2688 Fe
7.4924 1.5534 4.9979 Fe
7.2610 1.5534 9.6679 Fe
0.8889 1.5534 1.3536 O
1.2047 1.5534 6.5537 O
1.8283 0.0000 4.0684 O
1.6678 0.0000 9.0194 O
3.5695 0.0000 1.6753 O
4.1269 1.5534 8.4069 O
5.9032 1.5534 1.8733 O
6.6094 0.0000 4.2843 O
6.0857 1.5534 11.2034 O
6.5845 0.0000 8.7643 O
6.3169 0.0000 13.7789 O
9.0821 1.5534 3.8585 O
-0.6561 1.5534 8.4360 F
-0.9657 1.5534 13.2053 F
0.9640 0.0000 14.0212 F
1.3600 1.5534 11.4027 F
3.5771 0.0000 6.0639 F
4.2239 1.5534 3.9322 F
3.6042 0.0000 10.7902 F
4.2109 1.5534 13.0374 F
5.9434 1.5534 6.5311 F
8.3921 0.0000 1.5768 F
8.3990 0.0000 6.2104 F
8.4449 0.0000 10.6557 F
```

Space-group type: No. 6
DFT formation energy (kJ/mol of atoms): -199

Entry 6:
Here is MgFe6O10F2 after structural relaxation from the Materials Project. Energies are from PBE with a Hubbard U.

Cell and atoms, written as POSCAR:
```
MgFe6O10F2
1.0
5.7230 0.0000 0.0000
-2.2905 5.4782 0.0000
-1.0930 -2.8702 6.9062
Mg Fe O F
1 6 10 2
Cartesian
0.0000 0.0000 0.0000 Mg
-2.5644 3.8173 3.2274 Fe
0.3432 1.8727 2.5039 Fe
-0.8351 2.8140 5.5186 Fe
3.2473 -0.2237 1.5914 Fe
1.9673 0.7206 4.6118 Fe
4.5056 2.7733 0.1069 Fe
-0.5121 0.0130 2.1127 O
-1.3500 2.7800 2.0633 O
-0.3671 4.6683 0.2053 O
1.1499 -1.0601 4.4583 O
0.2713 1.7338 4.4134 O
2.1097 0.8394 2.7148 O
1.3654 3.5669 2.4877 O
2.7519 -2.0264 6.8547 O
1.7875 0.7467 6.4817 O
3.0201 2.5227 4.8193 O
0.6053 1.8355 0.3948 F
3.7763 -0.1952 5.0120 F
```

Space-group type: No. 1
DFT formation energy (kJ/mol of atoms): -171

Entry 7:
Here is MgFe12O12F12 after structural relaxation from the Materials Project. Energies are from PBE with a Hubbard U.

Cell and atoms, written as POSCAR:
```
MgFe12O12F12
1.0
3.0986 0.0000 0.0000
0.0151 9.6541 0.0000
0.0623 0.4969 14.6595
Mg Fe O F
1 12 12 12
Cartesian
0.0000 0.0000 0.0000 Mg
1.5065 4.9901 11.5684 Fe
1.5495 9.4647 11.8523 Fe
1.5342 9.7524 7.5348 Fe
1.5274 4.6785 7.2653 Fe
1.5277 4.8639 2.8096 Fe
1.5599 9.4501 2.6319 Fe
2.9992 7.5046 14.5616 Fe
3.0692 2.5815 9.5436 Fe
3.0770 7.4021 9.5666 Fe
3.0801 2.6061 4.9227 Fe
3.0866 7.2571 4.7942 Fe
3.0701 2.8366 0.0668 Fe
1.5181 3.3898 10.5889 O
1.5285 8.2646 10.4560 O
1.5203 1.5667 8.7320 O
1.5294 3.3973 5.7599 O
1.5354 6.3545 4.0152 O
1.5624 8.6253 0.8547 O
3.0583 5.9465 10.9489 O
3.0993 9.0297 13.0333 O
3.0753 4.0174 8.1604 O
3.0824 8.7352 8.1108 O
3.0775 3.8569 3.3799 O
3.1061 8.7408 3.4581 O
1.4378 6.4846 13.6562 F
1.5248 6.3862 8.5681 F
1.5159 3.7228 1.0229 F
1.5416 8.2282 5.7844 F
1.5409 1.4670 3.9176 F
1.5844 1.8681 14.0293 F
3.0551 4.2075 12.9618 F
3.0322 5.8742 1.6422 F
3.0761 1.0281 11.1816 F
3.0804 5.8653 6.3237 F
3.0799 0.9741 6.2473 F
3.0975 1.2090 1.5805 F
```

Space-group type: No. 1
DFT formation energy (kJ/mol of atoms): -200

Entry 8:
Here is MgFe10O9F11 after structural relaxation from the Materials Project. Energies are from PBE with a Hubbard U.

Cell and atoms, written as POSCAR:
```
MgFe10O9F11
1.0
4.8087 0.0000 0.0000
0.0000 15.9104 0.0000
-0.5046 0.0000 4.8212
Mg Fe O F
1 10 9 11
Cartesian
0.0000 0.0000 0.0000 Mg
0.6393 7.9552 3.7687 Fe
0.8425 4.7765 3.5890 Fe
0.8425 11.1339 3.5890 Fe
0.9418 1.8219 3.5910 Fe
0.9418 14.0885 3.5910 Fe
2.9173 0.0000 1.7751 Fe
3.5336 3.4216 1.2004 Fe
3.5336 12.4888 1.2004 Fe
3.6584 6.5953 1.3431 Fe
3.6584 9.3151 1.3431 Fe
-0.1381 0.0000 2.7916 O
-0.0095 3.3058 2.6437 O
-0.0095 12.6046 2.6437 O
0.0692 6.3617 2.8267 O
0.0692 9.5487 2.8267 O
1.6114 0.0000 4.7219 O
1.7550 3.3548 4.5984 O
1.7550 12.5556 4.5984 O
4.6145 7.9552 0.3261 O
1.7386 6.4000 4.7139 F
1.7386 9.5104 4.7139 F
2.4077 7.9552 2.3462 F
2.4468 1.8885 2.1747 F
2.4468 14.0219 2.1747 F
2.5033 4.8802 2.1794 F
2.5033 11.0302 2.1794 F
4.5767 1.8631 0.2694 F
4.5767 14.0474 0.2694 F
4.5916 4.8925 0.3143 F
4.5916 11.0179 0.3143 F
```

Space-group type: No. 6
DFT formation energy (kJ/mol of atoms): -197